# 1
The following is a PBE with a Hubbard U calculation of a relaxed CoSO8 crystal, from Materials Project.

Cell lengths 5.751, 13.124, 9.400 Å; angles 90.00, 127.58, 90.00 degrees
Space group P2_1/c (No. 14)
Symmetry-distinct sites (fractional):
Co1 0.164 0.107 0.226 (multiplicity 4)
S1 0.375 0.608 0.681 (multiplicity 4)
O1 0.019 0.087 0.352 (multiplicity 4)
O2 0.052 0.227 0.234 (multiplicity 4)
O3 0.232 0.574 0.487 (multiplicity 4)
O4 0.244 0.542 0.751 (multiplicity 4)
O5 0.281 0.131 0.098 (multiplicity 4)
O6 0.294 0.713 0.687 (multiplicity 4)
O7 0.312 0.089 0.719 (multiplicity 4)
O8 0.483 0.625 0.084 (multiplicity 4)

**Magnetization**: 0.70 μB/atom

=====

# 2
The following is a PBE with a Hubbard U calculation of a relaxed CrNiO4 crystal, from Materials Project.

Cell lengths 5.529, 8.382, 6.297 Å; angles 90.00, 90.00, 90.00 degrees
Space group Cmcm (No. 63)
Symmetry-distinct sites (fractional):
Cr1 0.000 0.143 0.250 (multiplicity 4)
Ni1 0.000 0.500 0.000 (multiplicity 4)
O1 0.000 0.257 0.040 (multiplicity 8)
O2 0.245 0.472 0.750 (multiplicity 8)

=====

# 3
The following is a PBE with a Hubbard U calculation of a relaxed Sr2CrCO3F5 crystal, from Materials Project.

Cell lengths 5.593, 8.979, 13.855 Å; angles 90.00, 105.48, 90.00 degrees
Space group P2_1/c (No. 14)
Symmetry-distinct sites (fractional):
Sr1 0.191 0.108 0.403 (multiplicity 4)
Sr2 0.193 0.642 0.412 (multiplicity 4)
Cr1 0.303 0.628 0.670 (multiplicity 4)
C1 0.321 0.124 0.637 (multiplicity 4)
O1 0.089 0.121 0.585 (multiplicity 4)
O2 0.368 0.129 0.734 (multiplicity 4)
O3 0.494 0.123 0.591 (multiplicity 4)
F1 0.023 0.129 0.933 (multiplicity 4)
F2 0.164 0.719 0.237 (multiplicity 4)
F3 0.169 0.036 0.229 (multiplicity 4)
F4 0.396 0.717 0.087 (multiplicity 4)
F5 0.418 0.012 0.085 (multiplicity 4)

**Magnetization**: 0.25 μB/atom

=====

It is found that the calculated formation energy values, taken in the order of the records, are -559.6 -1537.1 -3237.1 meV/atom.
It is found that the E (MP2020) values, taken in the order of the records, are -5.642 -7.408 -7.127 eV per atom.